(1)
The following is a DFT calculation (GGA+U) of V3Pb2O9 after structural relaxation.

Formation enthalpy at 0 K ... -2.20 eV/atom
Density ... 5.94 g/cm³

Lattice parameters (Å, degrees): 7.4841 9.1317 12.6685 110.02 86.68 102.09
Last column: nearest neighbours and their distance in Å.
Fractional positions:
Pb1 0.6730 0.7926 0.5518  5 O 2.43-2.68
Pb2 0.3270 0.2074 0.4482  5 O 2.43-2.68
Pb3 0.8279 0.7073 0.9469  6 O 2.44-2.73
Pb4 0.0994 0.5624 0.6580  3 O 2.47-2.60
Pb5 0.4058 0.9424 0.8414  3 O 2.47-2.64
Pb6 0.9006 0.4376 0.3420  3 O 2.47-2.60
Pb7 0.5942 0.0576 0.1586  3 O 2.47-2.64
Pb8 0.1721 0.2927 0.0531  6 O 2.44-2.73
O1 0.4809 0.2394 0.0253  1 V 1.73
O2 0.5189 0.8013 0.2359  1 V 1.72
O3 0.0110 0.3015 0.7313  1 V 1.72
O4 0.3205 0.5040 0.4571  1 V 1.71
O5 0.5590 0.7044 0.7299  1 V 1.70
O6 0.6379 0.6126 0.3411  1 V 1.81
O7 0.8019 0.3319 0.9157  1 V 1.75
O8 0.4811 0.1987 0.7641  1 V 1.72
O9 0.1883 0.0713 0.6054  1 V 1.76
O10 0.1793 0.9957 0.0435  1 V 1.70
O11 0.8624 0.8840 0.1565  2 V 1.81-2.02
O12 0.0564 0.2019 0.2296  1 V 1.70
O13 0.3094 0.4314 0.8976  1 V 1.76
O14 0.4410 0.2956 0.2701  1 V 1.70
O15 0.5191 0.7606 0.9747  1 V 1.73
O16 0.8104 0.3168 0.1411  1 V 1.75
O17 0.2625 0.5282 0.2421  1 V 1.79
O18 0.6795 0.4960 0.5429  1 V 1.71
O19 0.8117 0.9287 0.3946  1 V 1.76
O20 0.2389 0.9700 0.2576  1 V 1.80
O21 0.3111 0.8185 0.6418  1 V 1.75
O22 0.1981 0.6681 0.0843  1 V 1.75
O23 0.1376 0.1160 0.8435  2 V 1.81-2.02
O24 0.3006 0.8357 0.4165  1 V 1.75
O25 0.6994 0.1643 0.5835  1 V 1.75
O26 0.7375 0.4718 0.7579  1 V 1.79
O27 0.0186 0.2573 0.4730  1 V 1.73
O28 0.6889 0.1815 0.3582  1 V 1.75
O29 0.6906 0.5686 0.1024  1 V 1.76
O30 0.3621 0.3874 0.6589  1 V 1.81
O31 0.9890 0.6985 0.2687  1 V 1.72
O32 0.7611 0.0300 0.7424  1 V 1.80
O33 0.9814 0.7427 0.5270  1 V 1.73
O34 0.9436 0.7981 0.7704  1 V 1.70
O35 0.8207 0.0043 0.9565  1 V 1.70
O36 0.1896 0.6832 0.8589  1 V 1.75
V1 0.7790 0.2557 0.7473  1 O 1.72
V2 0.9139 0.9887 0.8281  4 O 1.70-1.81
V3 0.1936 0.8675 0.5468  4 O 1.73-1.76
V4 0.8064 0.1325 0.4532  4 O 1.73-1.76
V5 0.6937 0.3642 0.0453  4 O 1.73-1.76
V6 0.2210 0.7443 0.2527  1 O 1.72
V7 0.3063 0.6358 0.9547  4 O 1.73-1.76
V8 0.4133 0.4869 0.3281  4 O 1.70-1.81
V9 0.5867 0.5131 0.6719  4 O 1.70-1.81
V10 0.2746 0.2459 0.7526  1 O 1.72
V11 0.0861 0.0113 0.1719  4 O 1.70-1.81
V12 0.7254 0.7541 0.2474  1 O 1.72

=====

(2)
The following is a DFT calculation (GGA+U) of Ni2O3 after structural relaxation.

Formation enthalpy at 0 K ... -0.59 eV/atom
Density ... 4.15 g/cm³

Lattice parameters (Å, degrees): 5.4924 5.4924 5.9891 61.93 61.93 60.96
Last column: nearest neighbours and their distance in Å.
Fractional positions:
O1 0.2886 0.0932 0.1287  3 Ni 1.87-1.88
O2 0.9189 0.8279 0.1344  3 Ni 1.88-1.90
O3 0.8279 0.9189 0.6344  3 Ni 1.88-1.90
O4 0.6573 0.4633 0.1027  2 Ni 1.80-1.82
O5 0.0932 0.2886 0.6287  3 Ni 1.87-1.88
O6 0.4633 0.6573 0.6027  2 Ni 1.80-1.82
Ni1 0.6617 0.8291 0.0092  4 O 1.82-1.89
Ni2 0.8291 0.6617 0.5092  4 O 1.82-1.89
Ni3 0.1818 0.9949 0.5001  4 O 1.80-1.90
Ni4 0.9949 0.1818 0.0001  4 O 1.80-1.90

=====

(3)
The following is a DFT calculation (GGA+U) of LiFeS2O8 after structural relaxation.

Formation enthalpy at 0 K ... -1.95 eV/atom
Density ... 2.99 g/cm³

Lattice parameters (Å, degrees): 4.8785 6.8934 8.4561 90.00 90.00 95.44
Last column: nearest neighbours and their distance in Å.
Fractional positions:
O1 0.0449 0.7620 0.1438  1 S 1.51
O2 0.2485 0.1971 0.1272  1 S 1.49
O3 0.6865 0.0599 0.1430  1 S 1.50
O4 0.6703 0.4118 0.1042  1 S 1.44
O5 0.7469 0.7014 0.3742  1 S 1.51
O6 0.1729 0.9114 0.3957  1 S 1.45
O7 0.5480 0.2607 0.3555  1 S 1.51
O8 0.7531 0.7986 0.8742  1 S 1.51
O9 0.3271 0.5886 0.8957  1 S 1.45
O10 0.8297 0.0882 0.6042  1 S 1.44
O11 0.8135 0.4401 0.6430  1 S 1.50
O12 0.3163 0.9407 0.8571  1 S 1.50
O13 0.2515 0.3029 0.6272  1 S 1.49
O14 0.4551 0.7380 0.6438  1 S 1.51
O15 0.1837 0.5593 0.3571  1 S 1.50
O16 0.9520 0.2393 0.8555  1 S 1.51
S1 0.0419 0.7375 0.3213  4 O 1.45-1.51
S2 0.9582 0.2617 0.6775  4 O 1.44-1.51
S3 0.4581 0.7625 0.8213  4 O 1.45-1.51
S4 0.5418 0.2383 0.1775  4 O 1.44-1.51
Fe1 0.0015 0.0036 0.0000  6 O 2.02-2.09
Fe2 0.4985 0.4964 0.5000  6 O 2.02-2.09
Li1 0.5384 0.9748 0.4770  2 O 1.89-1.92
Li2 0.9616 0.5252 0.9770  2 O 1.89-1.92

=====

(4)
The following is a DFT calculation (GGA+U) of Li7Mn5O12 after structural relaxation.

Formation enthalpy at 0 K ... -2.14 eV/atom
Density ... 3.84 g/cm³

Lattice parameters (Å, degrees): 6.0663 6.5113 12.0877 105.19 95.37 75.60
Last column: nearest neighbours and their distance in Å.
Fractional positions:
Mn1 0.8409 0.6647 0.8279  5 O 1.94-2.17
Mn2 0.3306 0.6596 0.8309  4 O 1.90-2.02
Mn3 0.3448 0.6670 0.3291  6 O 1.93-2.03
Mn4 0.9885 0.9996 0.0041  6 O 1.93-2.03
Mn5 0.4951 0.9992 0.0044  4 O 1.93-1.99
Mn6 0.0028 0.0070 0.5024  4 O 1.90-2.02
Mn7 0.8379 0.6677 0.3290  4 O 1.93-2.00
Mn8 0.4924 0.0017 0.5055  5 O 1.94-2.17
Mn9 0.1664 0.3335 0.1667  6 O 1.93-1.96
Mn10 0.6668 0.3332 0.6667  6 O 1.95-1.97
O1 0.2365 0.9990 0.6189  1 Mn 1.90, 4 Li 2.03-2.09
O2 0.7656 0.9968 0.1070  2 Mn 1.93-1.96, 3 Li 2.05-2.09
O3 0.5740 0.6769 0.4512  2 Mn 1.93-1.99, 1 Li 2.10
O4 0.4037 0.3504 0.2875  2 Mn 1.94-1.95, 3 Li 2.09-2.15
O5 0.7593 0.9897 0.8821  2 Mn 1.93-1.99, 1 Li 2.10
O6 0.4330 0.3187 0.5445  2 Mn 1.94-1.95, 3 Li 2.08-2.14
O7 0.0969 0.6675 0.7145  1 Mn 1.90, 4 Li 2.03-2.09
O8 0.7721 0.9880 0.3744  2 Mn 1.96-1.99, 3 Li 2.08-2.16
O9 0.4473 0.3437 0.7790  2 Mn 1.95-1.97, 3 Li 2.01-2.08
O10 0.3879 0.3135 0.0537  2 Mn 1.93-1.96, 3 Li 2.06-2.08
O11 0.9005 0.3478 0.7889  2 Mn 1.94-1.95, 3 Li 2.08-2.14
O12 0.2289 0.9869 0.8948  3 Mn 1.99-2.03, 2 Li 2.09-2.15
O13 0.9294 0.3164 0.0458  2 Mn 1.94-1.95, 3 Li 2.09-2.15
O14 0.1107 0.6493 0.2064  2 Mn 1.93-1.96, 1 Li 2.15
O15 0.1044 0.6797 0.4385  3 Mn 2.00-2.03, 2 Li 2.09-2.15
O16 0.5613 0.6788 0.9590  2 Mn 1.96-1.99, 3 Li 2.08-2.16
O17 0.6010 0.6520 0.7084  2 Mn 1.95, 2 Li 2.07-2.14
O18 0.7324 0.0144 0.6250  2 Mn 1.95, 2 Li 2.07-2.14
O19 0.9452 0.3533 0.2797  2 Mn 1.93-1.96, 3 Li 2.06-2.08
O20 0.0637 0.6798 0.9574  2 Mn 1.96-1.97, 3 Li 2.08-2.18
O21 0.8861 0.3227 0.5544  2 Mn 1.95-1.97, 3 Li 2.01-2.08
O22 0.2225 0.0176 0.1269  2 Mn 1.93-1.96, 1 Li 2.15
O23 0.2697 0.9869 0.3760  2 Mn 1.96-1.97, 3 Li 2.08-2.18
O24 0.5677 0.6700 0.2263  2 Mn 1.93-1.96, 3 Li 2.05-2.09
Li1 0.6818 0.3317 0.9072  5 O 2.01-2.15
Li2 0.4985 0.0132 0.7390  5 O 2.03-2.24
Li3 0.1457 0.3276 0.9232  5 O 2.06-2.16
Li4 0.1878 0.3390 0.4101  5 O 2.06-2.16
Li5 0.3448 0.6486 0.0833  6 O 2.07-2.26
Li6 0.6516 0.3349 0.4262  5 O 2.01-2.15
Li7 0.8403 0.6620 0.0730  5 O 2.05-2.19
Li8 0.1667 0.3333 0.6667  6 O 2.04-2.26
Li9 0.0179 0.9984 0.7428  5 O 2.03-2.15
Li10 0.8349 0.6534 0.5944  5 O 2.03-2.24
Li11 0.9886 0.0181 0.2500  6 O 2.07-2.26
Li12 0.6666 0.3334 0.1666  6 O 2.07-2.23
Li13 0.4931 0.0048 0.2603  5 O 2.05-2.19
Li14 0.3155 0.6682 0.5906  5 O 2.03-2.15

=====

(5)
The following is a DFT calculation (GGA+U) of Li2Fe4O7 after structural relaxation.

Formation enthalpy at 0 K ... -1.63 eV/atom
Density ... 3.69 g/cm³

Lattice parameters (Å, degrees): 5.2251 5.2251 6.6432 90.00 90.00 120.00
Last column: nearest neighbours and their distance in Å.
Fractional positions:
Fe1 0.3333 0.6667 0.5000  6 O 2.05
Fe2 0.0000 0.0000 0.2732  4 O 1.81-1.92
Fe3 0.6667 0.3333 0.5000  6 O 2.05
Fe4 0.0000 0.0000 0.7268  4 O 1.81-1.92
O1 0.3628 0.0000 0.6791  3 Fe 1.92-2.05
O2 0.6372 0.6372 0.6791  3 Fe 1.92-2.05
O3 0.6372 0.0000 0.3209  3 Fe 1.92-2.05
O4 0.0000 0.0000 0.0000  2 Fe 1.81
O5 0.3628 0.3628 0.3209  3 Fe 1.92-2.05
O6 0.0000 0.6372 0.3209  3 Fe 1.92-2.05
O7 0.0000 0.3628 0.6791  3 Fe 1.92-2.05
Li1 0.3333 0.6667 0.0000  9 O 2.71-3.02, 3 Li 3.02
Li2 0.6667 0.3333 0.0000  9 O 2.71-3.02, 3 Li 3.02

=====

| no. | total magnetic moment (Bohr magnetons per cell) |
| --- | --- |
| 1 | 4.00 |
| 2 | 12.00 |
| 3 | 10.00 |
| 4 | 36.00 |
| 5 | 0.00 |